This record from Materials Project describes an optimized crystal structure of BeO2. The functional is r2SCAN.

Lattice parameters (Å, degrees): 4.7891 8.0528 9.7165 84.29 90.00 90.00
With the nearest neighbours (Å) after each atom.
Fractional positions:
Be (0.3813, 0.5173, 0.4078)  4 O 1.59
Be (0.8813, 0.4827, 0.5922)  4 O 1.59
Be (0.5159, 0.7198, 0.1358)  4 O 1.55-1.68
Be (0.0159, 0.2802, 0.8642)  4 O 1.55-1.68
Be (0.0087, 0.9177, 0.1304)  4 O 1.55-1.68
Be (0.5087, 0.0823, 0.8696)  4 O 1.55-1.68
Be (0.3039, 0.9822, 0.5934)  4 O 1.59-1.60
Be (0.8039, 0.0178, 0.4066)  4 O 1.59-1.60
Be (0.2034, 0.4170, 0.1293)  4 O 1.55-1.68
Be (0.7034, 0.5830, 0.8707)  4 O 1.55-1.68
Be (0.1967, 0.7798, 0.8683)  4 O 1.55-1.67
Be (0.6967, 0.2202, 0.1317)  4 O 1.55-1.67
O (0.3398, 0.8959, 0.0994)  1 O 1.46, 1 Be 1.63
O (0.8398, 0.1041, 0.9006)  1 O 1.46, 1 Be 1.63
O (0.2108, 0.8419, 0.7121)  2 Be 1.55-1.60
O (0.7108, 0.1581, 0.2879)  2 Be 1.55-1.60
O (0.5516, 0.9340, 0.4950)  2 Be 1.59-1.60
O (0.0516, 0.0660, 0.5050)  2 Be 1.59-1.60
O (0.3533, 0.9199, 0.9489)  1 O 1.46, 2 Be 1.62-1.63
O (0.8533, 0.0801, 0.0511)  1 O 1.46, 2 Be 1.62-1.63
O (0.8736, 0.3955, 0.0967)  1 O 1.46, 1 Be 1.62
O (0.3736, 0.6045, 0.9033)  1 O 1.46, 1 Be 1.62
O (0.2713, 0.4187, 0.2850)  2 Be 1.55-1.59
O (0.7713, 0.5813, 0.7150)  2 Be 1.55-1.59
O (0.6261, 0.4313, 0.5003)  2 Be 1.59
O (0.1261, 0.5687, 0.4997)  2 Be 1.59
O (0.3746, 0.2564, 0.0698)  1 O 1.41
O (0.8746, 0.7436, 0.9302)  1 O 1.41
O (0.8390, 0.7552, 0.0734)  1 O 1.41
O (0.3390, 0.2448, 0.9266)  1 O 1.41
O (0.3606, 0.5802, 0.0536)  1 O 1.46, 2 Be 1.62-1.63
O (0.8606, 0.4198, 0.9464)  1 O 1.46, 2 Be 1.62-1.63
O (0.9301, 0.9222, 0.2851)  2 Be 1.55-1.59
O (0.4301, 0.0778, 0.7149)  2 Be 1.55-1.59
O (0.4913, 0.6551, 0.2911)  2 Be 1.55-1.59
O (0.9913, 0.3449, 0.7089)  2 Be 1.55-1.59

Calculated values
As for the calculated density: 2192 kg/m³. Its energy of formation from the pure elements is -1372 meV per atom. Its calculated total energy is -244.81 eV for the cell shown.